No. 1
Entry from the Materials Project database: a relaxed AlNiW2O8 crystal (GGA+U).

energy of formation from the pure elements	-24.79	eV/f.u.
E above lowest polymorph	182	meV/atom
SG	P-1
size of the total moment	1.000	μB/cell

Cell lengths 5.038, 5.521, 5.668 Å; angles 108.55, 91.96, 111.82 degrees
Sites, in units of the cell vectors:
Al 0.000 0.000 0.500
Ni 0.500 0.000 0.000
W 0.748 0.501 0.814
W 0.252 0.499 0.186
O 0.210 0.777 0.439
O 0.230 0.236 0.326
O 0.150 0.696 0.954
O 0.326 0.279 0.820
O 0.770 0.764 0.674
O 0.790 0.223 0.561
O 0.850 0.304 0.046
O 0.674 0.721 0.180

***

No. 2
Entry from the Materials Project database: a relaxed Mn2Zn3Si3O12 crystal (GGA+U).

energy of formation from the pure elements	-46.96	eV/f.u.
E above lowest polymorph	28	meV/atom
SG	Ia-3d
size of the total moment	32.004	μB/cell

Cell lengths 10.280, 10.280, 10.280 Å; angles 109.47, 109.47, 109.47 degrees
Sites, in units of the cell vectors:
Mn 0.500 0.000 0.000
Mn 0.500 0.500 0.000
Mn 0.000 0.500 0.500
Mn 0.000 0.000 0.500
Mn 0.500 0.500 0.500
Mn 0.000 0.500 0.000
Mn 0.500 0.000 0.500
Mn 0.000 0.000 0.000
Zn 0.250 0.375 0.125
Zn 0.750 0.125 0.375
Zn 0.375 0.125 0.250
Zn 0.125 0.375 0.750
Zn 0.250 0.875 0.625
Zn 0.125 0.250 0.375
Zn 0.625 0.250 0.875
Zn 0.750 0.625 0.875
Zn 0.875 0.750 0.625
Zn 0.875 0.625 0.250
Zn 0.625 0.875 0.750
Zn 0.375 0.750 0.125
Si 0.125 0.750 0.875
Si 0.875 0.250 0.125
Si 0.750 0.375 0.625
Si 0.125 0.875 0.250
Si 0.250 0.125 0.875
Si 0.375 0.625 0.750
Si 0.375 0.250 0.625
Si 0.875 0.125 0.750
Si 0.625 0.375 0.250
Si 0.750 0.875 0.125
Si 0.250 0.625 0.375
Si 0.625 0.750 0.375
O 0.587 0.895 0.375
O 0.375 0.587 0.895
O 0.288 0.308 0.913
O 0.480 0.605 0.192
O 0.308 0.895 0.020
O 0.125 0.020 0.212
O 0.375 0.288 0.480
O 0.895 0.375 0.587
O 0.192 0.212 0.587
O 0.480 0.375 0.288
O 0.895 0.020 0.308
O 0.605 0.913 0.125
O 0.913 0.125 0.605
O 0.288 0.480 0.375
O 0.587 0.192 0.212
O 0.212 0.587 0.192
O 0.020 0.308 0.895
O 0.913 0.288 0.308
O 0.020 0.212 0.125
O 0.808 0.788 0.413
O 0.192 0.480 0.605
O 0.605 0.192 0.480
O 0.212 0.125 0.020
O 0.125 0.605 0.913
O 0.413 0.105 0.625
O 0.625 0.413 0.105
O 0.712 0.692 0.087
O 0.520 0.395 0.808
O 0.692 0.105 0.980
O 0.875 0.980 0.788
O 0.625 0.712 0.520
O 0.105 0.625 0.413
O 0.875 0.395 0.087
O 0.788 0.875 0.980
O 0.395 0.808 0.520
O 0.692 0.087 0.712
O 0.808 0.520 0.395
O 0.980 0.788 0.875
O 0.087 0.712 0.692
O 0.980 0.692 0.105
O 0.788 0.413 0.808
O 0.413 0.808 0.788
O 0.712 0.520 0.625
O 0.087 0.875 0.395
O 0.395 0.087 0.875
O 0.105 0.980 0.692
O 0.520 0.625 0.712
O 0.308 0.913 0.288

***

No. 3
Entry from the Materials Project database: a relaxed Li4V3CoCu2P6O24 crystal (GGA+U).

energy of formation from the pure elements	-96.80	eV/f.u.
SG	P1
size of the total moment	8.000	μB/cell

Cell lengths 8.604, 8.857, 8.866 Å; angles 59.84, 58.83, 59.16 degrees
Sites, in units of the cell vectors:
Li 0.250 0.855 0.648
Li 0.723 0.155 0.343
Li 0.724 0.778 0.153
Li 0.725 0.343 0.781
V 0.072 0.642 0.643
V 0.427 0.856 0.860
V 0.940 0.356 0.350
Co 0.552 0.154 0.148
Cu 0.001 0.002 0.012
Cu 0.492 0.486 0.501
P 0.253 0.249 0.550
P 0.255 0.949 0.247
P 0.255 0.548 0.947
P 0.751 0.460 0.041
P 0.760 0.041 0.746
P 0.746 0.750 0.459
O 0.074 0.113 0.301
O 0.073 0.508 0.108
O 0.074 0.307 0.509
O 0.234 0.082 0.737
O 0.445 0.192 0.395
O 0.258 0.407 0.576
O 0.238 0.930 0.091
O 0.260 0.764 0.415
O 0.568 0.614 0.004
O 0.268 0.577 0.752
O 0.771 0.268 0.054
O 0.588 0.995 0.795
O 0.446 0.971 0.189
O 0.231 0.744 0.928
O 0.733 0.434 0.238
O 0.445 0.396 0.970
O 0.743 0.237 0.587
O 0.763 0.064 0.907
O 0.743 0.593 0.425
O 0.550 0.804 0.613
O 0.766 0.911 0.267
O 0.914 0.691 0.512
O 0.933 0.504 0.890
O 0.954 0.890 0.685

***

No. 4
Entry from the Materials Project database: a relaxed Li9Mn2Co5O16 crystal (GGA+U).

energy of formation from the pure elements	-58.52	eV/f.u.
E above lowest polymorph	35	meV/atom
SG	P-1
size of the total moment	14.000	μB/cell

Cell lengths 5.050, 5.934, 10.081 Å; angles 90.12, 101.19, 105.33 degrees
Sites, in units of the cell vectors:
Li 0.501 0.126 0.884
Li 0.000 0.000 0.000
Li 0.006 0.256 0.761
Li 0.499 0.874 0.116
Li 0.994 0.744 0.239
Li 0.497 0.621 0.375
Li 0.000 0.500 0.500
Li 0.503 0.379 0.625
Li 0.000 0.500 0.000
Mn 0.000 0.747 0.754
Mn 0.000 0.253 0.246
Co 0.495 0.617 0.879
Co 0.505 0.383 0.121
Co 0.497 0.124 0.374
Co 0.000 0.000 0.500
Co 0.503 0.876 0.626
O 0.252 0.804 0.923
O 0.727 0.684 0.051
O 0.762 0.934 0.799
O 0.245 0.524 0.192
O 0.754 0.422 0.301
O 0.235 0.298 0.432
O 0.735 0.176 0.552
O 0.232 0.039 0.684
O 0.755 0.476 0.808
O 0.273 0.316 0.949
O 0.246 0.578 0.699
O 0.748 0.196 0.077
O 0.238 0.066 0.201
O 0.768 0.961 0.316
O 0.265 0.824 0.448
O 0.765 0.702 0.568

***

No. 5
Entry from the Materials Project database: a relaxed SrNdZrNiO6 crystal (GGA+U).

energy of formation from the pure elements	-28.49	eV/f.u.
SG	F-43m
size of the total moment	1.000	μB/cell

Cell lengths 5.659, 5.659, 5.659 Å; angles 60.00, 60.00, 60.00 degrees
Sites, in units of the cell vectors:
Sr 0.750 0.750 0.750
Nd 0.250 0.250 0.250
Zr 0.500 0.500 0.500
Ni 0.000 0.000 0.000
O 0.757 0.243 0.243
O 0.243 0.757 0.757
O 0.757 0.243 0.757
O 0.243 0.757 0.243
O 0.757 0.757 0.243
O 0.243 0.243 0.757

***

No. 6
Entry from the Materials Project database: a relaxed Na4MgV4O10 crystal (GGA+U).

energy of formation from the pure elements	-42.79	eV/f.u.
E above lowest polymorph	0	meV/atom
SG	P1
size of the total moment	5.998	μB/cell

Cell lengths 5.701, 5.878, 8.298 Å; angles 109.56, 110.08, 90.01 degrees
Sites, in units of the cell vectors:
Na 0.574 0.308 0.349
Na 0.222 0.690 0.649
Na 0.107 0.567 0.193
Na 0.913 0.434 0.807
Mg 0.547 0.000 0.999
V 0.034 0.000 0.000
V 0.536 0.500 0.000
V 0.196 0.145 0.500
V 0.697 0.855 0.501
O 0.303 0.241 0.008
O 0.294 0.759 0.992
O 0.776 0.237 0.983
O 0.793 0.763 0.017
O 0.169 0.200 0.298
O 0.871 0.801 0.703
O 0.689 0.628 0.295
O 0.394 0.373 0.706
O 0.870 0.139 0.514
O 0.356 0.861 0.486

***

No. 7
Entry from the Materials Project database: a relaxed Mg8SiW9O49 crystal (GGA+U).

energy of formation from the pure elements	-115.05	eV/f.u.
SG	Cc
size of the total moment	48.035	μB/cell

Cell lengths 13.621, 13.620, 14.335 Å; angles 89.99, 90.01, 120.00 degrees
Sites, in units of the cell vectors:
Mg 0.591 0.408 0.296
Mg 0.817 0.409 0.296
Mg 0.591 0.183 0.296
Mg 0.183 0.592 0.796
Mg 0.408 0.591 0.796
Mg 0.409 0.817 0.796
Mg 0.535 0.767 0.442
Mg 0.233 0.465 0.442
Mg 0.233 0.767 0.442
Mg 0.767 0.233 0.942
Mg 0.767 0.535 0.942
Mg 0.465 0.233 0.942
Mg 0.999 0.000 0.070
Mg 0.000 0.000 0.570
Mg 0.333 0.667 0.592
Mg 0.667 0.333 0.092
Si 0.333 0.667 0.989
Si 0.667 0.333 0.489
W 0.671 0.601 0.495
W 0.929 0.329 0.495
W 0.399 0.071 0.495
W 0.071 0.399 0.995
W 0.601 0.671 0.995
W 0.329 0.929 0.995
W 0.929 0.601 0.495
W 0.672 0.071 0.495
W 0.399 0.328 0.495
W 0.328 0.399 0.995
W 0.601 0.929 0.995
W 0.071 0.672 0.995
W 0.241 0.482 0.189
W 0.241 0.759 0.189
W 0.518 0.759 0.189
W 0.759 0.518 0.689
W 0.482 0.241 0.689
W 0.759 0.241 0.689
O 0.711 0.637 0.987
O 0.926 0.289 0.987
O 0.363 0.074 0.987
O 0.074 0.363 0.487
O 0.637 0.711 0.487
O 0.289 0.926 0.487
O 0.073 0.712 0.487
O 0.638 0.927 0.487
O 0.289 0.362 0.487
O 0.362 0.288 0.987
O 0.711 0.073 0.987
O 0.927 0.638 0.987
O 0.842 0.685 0.478
O 0.843 0.158 0.478
O 0.315 0.157 0.478
O 0.157 0.315 0.978
O 0.685 0.842 0.978
O 0.158 0.843 0.978
O 0.953 0.477 0.526
O 0.524 0.046 0.526
O 0.523 0.476 0.526
O 0.476 0.523 0.026
O 0.477 0.954 0.026
O 0.046 0.524 0.026
O 0.095 0.389 0.132
O 0.294 0.905 0.132
O 0.610 0.706 0.132
O 0.706 0.611 0.632
O 0.390 0.095 0.632
O 0.905 0.294 0.632
O 0.892 0.552 0.375
O 0.660 0.108 0.375
O 0.448 0.340 0.375
O 0.340 0.448 0.875
O 0.552 0.892 0.875
O 0.108 0.660 0.875
O 0.077 0.907 0.070
O 0.829 0.924 0.072
O 0.094 0.170 0.071
O 0.170 0.093 0.570
O 0.906 0.076 0.572
O 0.924 0.830 0.571
O 0.659 0.551 0.376
O 0.892 0.341 0.375
O 0.449 0.108 0.376
O 0.108 0.449 0.876
O 0.551 0.659 0.875
O 0.341 0.892 0.876
O 0.278 0.723 0.699
O 0.445 0.722 0.699
O 0.277 0.555 0.699
O 0.555 0.277 0.199
O 0.723 0.278 0.199
O 0.722 0.445 0.199
O 0.397 0.603 0.200
O 0.207 0.603 0.200
O 0.397 0.793 0.200
O 0.793 0.397 0.700
O 0.603 0.397 0.700
O 0.603 0.207 0.700
O 0.216 0.433 0.306
O 0.217 0.784 0.306
O 0.567 0.784 0.306
O 0.784 0.567 0.806
O 0.433 0.216 0.806
O 0.784 0.216 0.806
O 0.293 0.389 0.132
O 0.096 0.707 0.132
O 0.611 0.904 0.132
O 0.904 0.611 0.632
O 0.389 0.293 0.632
O 0.707 0.096 0.632
O 0.388 0.776 0.480
O 0.388 0.612 0.480
O 0.224 0.612 0.480
O 0.612 0.224 0.980
O 0.776 0.388 0.980
O 0.612 0.388 0.980
O 0.510 0.481 0.218
O 0.971 0.490 0.219
O 0.519 0.029 0.219
O 0.029 0.519 0.718
O 0.481 0.510 0.719
O 0.490 0.971 0.719
O 0.953 0.883 0.961
O 0.930 0.047 0.962
O 0.118 0.070 0.962
O 0.070 0.117 0.461
O 0.883 0.953 0.462
O 0.048 0.930 0.462
O 0.267 0.534 0.029
O 0.267 0.733 0.029
O 0.466 0.733 0.029
O 0.733 0.466 0.529
O 0.534 0.267 0.529
O 0.733 0.267 0.529
O 0.333 0.667 0.875
O 0.667 0.333 0.375

***

No. 8
Entry from the Materials Project database: a relaxed UH12W3C2S2N6O10 crystal (GGA+U).

energy of formation from the pure elements	-18.04	eV/f.u.
SG	C2/c
size of the total moment	3.336	μB/cell

Cell lengths 7.432, 7.432, 20.579 Å; angles 76.60, 76.60, 71.74 degrees
Sites, in units of the cell vectors:
U 0.741 0.259 0.250
U 0.259 0.741 0.750
H 0.616 0.855 0.108
H 0.384 0.145 0.892
H 0.145 0.384 0.392
H 0.855 0.616 0.608
H 0.843 0.858 0.596
H 0.157 0.142 0.404
H 0.142 0.157 0.904
H 0.858 0.843 0.096
H 0.345 0.254 0.057
H 0.655 0.746 0.943
H 0.746 0.655 0.443
H 0.254 0.345 0.557
H 0.739 0.986 0.430
H 0.261 0.014 0.570
H 0.014 0.261 0.070
H 0.986 0.739 0.930
H 0.506 0.768 0.022
H 0.494 0.232 0.978
H 0.232 0.494 0.478
H 0.768 0.506 0.522
H 0.776 0.062 0.498
H 0.224 0.938 0.502
H 0.938 0.224 0.002
H 0.062 0.776 0.998
W 0.236 0.764 0.250
W 0.764 0.236 0.750
W 0.244 0.633 0.116
W 0.756 0.367 0.884
W 0.367 0.756 0.384
W 0.633 0.244 0.616
C 0.775 0.800 0.014
C 0.225 0.200 0.986
C 0.200 0.225 0.486
C 0.800 0.775 0.514
S 0.292 0.183 0.211
S 0.708 0.817 0.789
S 0.817 0.708 0.289
S 0.183 0.292 0.711
N 0.744 0.844 0.076
N 0.256 0.156 0.924
N 0.156 0.256 0.424
N 0.844 0.744 0.576
N 0.785 0.949 0.475
N 0.215 0.051 0.525
N 0.051 0.215 0.025
N 0.949 0.785 0.975
N 0.369 0.219 0.010
N 0.631 0.781 0.990
N 0.781 0.631 0.490
N 0.219 0.369 0.510
O 0.681 0.725 0.356
O 0.319 0.275 0.644
O 0.275 0.319 0.144
O 0.725 0.681 0.856
O 0.811 0.904 0.249
O 0.189 0.096 0.751
O 0.096 0.189 0.251
O 0.904 0.811 0.749
O 0.407 0.236 0.250
O 0.593 0.764 0.750
O 0.764 0.593 0.250
O 0.236 0.407 0.750
O 0.696 0.208 0.343
O 0.304 0.792 0.657
O 0.792 0.304 0.157
O 0.208 0.696 0.843
O 0.388 0.985 0.194
O 0.612 0.015 0.806
O 0.015 0.612 0.306
O 0.985 0.388 0.694